VASP calculation (r²SCAN) on a relaxed structure of LaSn.

Properties
Final energy ... -225.37 eV per cell
E_form ... -0.926 eV/atom

```
data_LaSn
_chemical_formula_sum 'La4 Sn4'
_cell_length_a 4.8409
_cell_length_b 11.9914
_cell_length_c 4.4461
_cell_angle_alpha 90.00
_cell_angle_beta 90.00
_cell_angle_gamma 90.00
_symmetry_space_group_name_H-M 'C m c m'
_symmetry_Int_Tables_number 63
_symmetry_space_group_name_Hall '-C 2c 2'
loop_
_atom_site_label
_atom_site_type_symbol
_atom_site_fract_x
_atom_site_fract_y
_atom_site_fract_z
La1 La 0.0000 0.1362 0.2500
Sn1 Sn 0.0000 0.4135 0.2500
```

=====

VASP calculation (r²SCAN) on a relaxed structure of Eu2SbAu.

Properties
Final energy ... -630.63 eV per cell
E_form ... -1.081 eV/atom

```
data_Eu2SbAu
_chemical_formula_sum 'Eu8 Sb4 Au4'
_cell_length_a 7.7126
_cell_length_b 7.7126
_cell_length_c 7.7126
_cell_angle_alpha 90.00
_cell_angle_beta 90.00
_cell_angle_gamma 90.00
_symmetry_space_group_name_H-M 'F m -3 m'
_symmetry_Int_Tables_number 225
_symmetry_space_group_name_Hall '-F 4 2 3'
loop_
_atom_site_label
_atom_site_type_symbol
_atom_site_fract_x
_atom_site_fract_y
_atom_site_fract_z
Eu1 Eu 0.2500 0.2500 0.2500
Sb1 Sb 0.0000 0.0000 0.0000
Au1 Au 0.0000 0.0000 0.5000
```

=====

VASP calculation (r²SCAN) on a relaxed structure of ErMgAg.

Properties
Final energy ... -180.78 eV per cell
E_form ... -0.269 eV/atom

```
data_ErMgAg
_chemical_formula_sum 'Er3 Mg3 Ag3'
_cell_length_a 7.4952
_cell_length_b 7.4952
_cell_length_c 4.2026
_cell_angle_alpha 90.00
_cell_angle_beta 90.00
_cell_angle_gamma 120.00
_symmetry_space_group_name_H-M 'P -6 2 m'
_symmetry_Int_Tables_number 189
_symmetry_space_group_name_Hall 'P -6 -2'
loop_
_atom_site_label
_atom_site_type_symbol
_atom_site_fract_x
_atom_site_fract_y
_atom_site_fract_z
Er1 Er 0.0000 0.5859 0.0000
Mg1 Mg 0.0000 0.2431 0.5000
Ag1 Ag 0.0000 0.0000 0.0000
Ag2 Ag 0.3333 0.6667 0.5000
```

=====

| no. | size of the total moment (μB per cell) |
| --- | --- |
| 1 | 0.00 |
| 2 | 56.00 |
| 3 | 0.00 |